# K2U2O7 (r²SCAN, optimized geometry)
data_K2U2O7
_cell_length_a 6.913
_cell_length_b 7.054
_cell_length_c 7.952
_cell_angle_alpha 106.32
_cell_angle_beta 89.82
_cell_angle_gamma 99.52
_space_group_name_H-M_alt 'P 1'
_space_group_IT_number 1
loop_
_space_group_symop_operation_xyz
'x,y,z'
loop_
_atom_site_label
_atom_site_type_symbol
_atom_site_fract_x
_atom_site_fract_y
_atom_site_fract_z
_atom_site_occupancy
O1 O 0.633 0.021 0.755 1
O2 O 0.441 0.718 0.916 1
O3 O 0.069 0.271 0.315 1
O4 O 0.810 0.979 0.041 1
O5 O 0.189 0.020 0.555 1
O6 O 0.556 0.281 0.556 1
O7 O 0.444 0.719 0.444 1
O8 O 0.931 0.729 0.685 1
O9 O 0.367 0.979 0.245 1
O10 O 0.559 0.282 0.084 1
O11 O 0.988 0.715 0.177 1
O12 O 0.012 0.285 0.823 1
O13 O 0.811 0.980 0.445 1
O14 O 0.190 0.021 0.959 1
K1 K 0.263 0.489 0.119 1
K2 K 0.759 0.516 0.375 1
K3 K 0.737 0.511 0.881 1
K4 K 0.241 0.484 0.625 1
U1 U 0.032 0.993 0.246 1
U2 U 0.500 0.000 0.500 1
U3 U 0.968 0.007 0.754 1
U4 U 0.500 0.000 0.000 1
# - energy above the most stable polymorph in this dataset (kJ per mole of atoms) = 0.2

# KUO3 (r²SCAN, optimized geometry)
data_KUO3
_cell_length_a 4.299
_cell_length_b 4.299
_cell_length_c 4.299
_cell_angle_alpha 90.00
_cell_angle_beta 90.00
_cell_angle_gamma 90.00
_space_group_name_H-M_alt 'P 1'
_space_group_IT_number 1
loop_
_space_group_symop_operation_xyz
'x,y,z'
loop_
_atom_site_label
_atom_site_type_symbol
_atom_site_fract_x
_atom_site_fract_y
_atom_site_fract_z
_atom_site_occupancy
O1 O 0.000 0.500 0.000 1
O2 O 0.000 0.000 0.500 1
O3 O 0.500 0.000 0.000 1
U1 U 0.000 0.000 0.000 1
K1 K 0.500 0.500 0.500 1
# - E (hartree per atom) = -0.883

# K2U2O7 (r²SCAN, optimized geometry)
data_K2U2O7
_cell_length_a 7.980
_cell_length_b 6.952
_cell_length_c 7.048
_cell_angle_alpha 70.37
_cell_angle_beta 90.00
_cell_angle_gamma 90.00
_space_group_name_H-M_alt 'P 1'
_space_group_IT_number 1
loop_
_space_group_symop_operation_xyz
'x,y,z'
loop_
_atom_site_label
_atom_site_type_symbol
_atom_site_fract_x
_atom_site_fract_y
_atom_site_fract_z
_atom_site_occupancy
K1 K 0.999 0.518 0.493 1
K2 K 0.499 0.482 0.507 1
K3 K 0.760 0.976 0.507 1
K4 K 0.260 0.024 0.493 1
O1 O 0.745 0.562 0.726 1
O2 O 0.018 0.930 0.277 1
O3 O 0.518 0.070 0.723 1
O4 O 0.398 0.266 0.996 1
O5 O 0.245 0.438 0.274 1
O6 O 0.257 0.625 0.712 1
O7 O 0.898 0.734 0.004 1
O8 O 0.023 0.352 0.987 1
O9 O 0.523 0.648 0.013 1
O10 O 0.745 0.134 0.018 1
O11 O 0.499 0.883 0.287 1
O12 O 0.245 0.866 0.982 1
O13 O 0.999 0.117 0.713 1
O14 O 0.757 0.375 0.288 1
U1 U 0.503 0.977 0.005 1
U2 U 0.003 0.023 0.995 1
U3 U 0.257 0.532 0.993 1
U4 U 0.757 0.468 0.007 1
# - energy above the most stable polymorph in this dataset (kJ per mole of atoms) = 0.0

# K5V3O10 (r²SCAN, optimized geometry)
data_K5V3O10
_cell_length_a 8.146
_cell_length_b 8.146
_cell_length_c 18.734
_cell_angle_alpha 90.00
_cell_angle_beta 90.00
_cell_angle_gamma 90.00
_space_group_name_H-M_alt 'P 1'
_space_group_IT_number 1
loop_
_space_group_symop_operation_xyz
'x,y,z'
loop_
_atom_site_label
_atom_site_type_symbol
_atom_site_fract_x
_atom_site_fract_y
_atom_site_fract_z
_atom_site_occupancy
V1 V 0.229 0.236 0.767 1
V2 V 0.692 0.692 0.000 1
V3 V 0.808 0.192 0.250 1
V4 V 0.264 0.729 0.017 1
V5 V 0.271 0.736 0.483 1
V6 V 0.192 0.808 0.750 1
V7 V 0.729 0.264 0.983 1
V8 V 0.764 0.771 0.733 1
V9 V 0.771 0.764 0.267 1
V10 V 0.736 0.271 0.517 1
V11 V 0.236 0.229 0.233 1
V12 V 0.308 0.308 0.500 1
O1 O 0.317 0.406 0.263 1
O2 O 0.978 0.780 0.764 1
O3 O 0.239 0.232 0.142 1
O4 O 0.780 0.978 0.236 1
O5 O 0.268 0.739 0.392 1
O6 O 0.280 0.522 0.514 1
O7 O 0.715 0.257 0.324 1
O8 O 0.817 0.094 0.487 1
O9 O 0.257 0.715 0.676 1
O10 O 0.836 0.440 0.488 1
O11 O 0.743 0.285 0.176 1
O12 O 0.739 0.268 0.608 1
O13 O 0.060 0.336 0.738 1
O14 O 0.406 0.317 0.737 1
O15 O 0.732 0.261 0.892 1
O16 O 0.261 0.732 0.108 1
O17 O 0.761 0.768 0.642 1
O18 O 0.757 0.785 0.074 1
O19 O 0.560 0.164 0.012 1
O20 O 0.285 0.743 0.824 1
O21 O 0.664 0.940 0.762 1
O22 O 0.164 0.560 0.988 1
O23 O 0.215 0.243 0.426 1
O24 O 0.785 0.757 0.926 1
O25 O 0.522 0.280 0.486 1
O26 O 0.440 0.836 0.512 1
O27 O 0.336 0.060 0.262 1
O28 O 0.094 0.817 0.513 1
O29 O 0.768 0.761 0.358 1
O30 O 0.232 0.239 0.858 1
O31 O 0.594 0.683 0.237 1
O32 O 0.022 0.220 0.264 1
O33 O 0.906 0.183 0.013 1
O34 O 0.720 0.478 0.014 1
O35 O 0.183 0.906 0.987 1
O36 O 0.940 0.664 0.238 1
O37 O 0.220 0.022 0.736 1
O38 O 0.478 0.720 0.986 1
O39 O 0.243 0.215 0.574 1
O40 O 0.683 0.594 0.763 1
K1 K 0.735 0.265 0.750 1
K2 K 0.003 0.973 0.112 1
K3 K 0.235 0.235 0.000 1
K4 K 0.527 0.503 0.362 1
K5 K 0.521 0.987 0.134 1
K6 K 0.021 0.513 0.616 1
K7 K 0.027 0.997 0.388 1
K8 K 0.013 0.479 0.366 1
K9 K 0.987 0.521 0.866 1
K10 K 0.513 0.021 0.384 1
K11 K 0.765 0.765 0.500 1
K12 K 0.997 0.027 0.612 1
K13 K 0.973 0.003 0.888 1
K14 K 0.497 0.473 0.138 1
K15 K 0.473 0.497 0.862 1
K16 K 0.503 0.527 0.638 1
K17 K 0.479 0.013 0.634 1
K18 K 0.979 0.487 0.116 1
K19 K 0.265 0.735 0.250 1
K20 K 0.487 0.979 0.884 1
# - E (hartree per atom) = -0.361